# BaGd2PdO5

BaGd2PdO5 after structural relaxation (r²SCAN, the Materials Project).

The structure belongs to space group P4/mbm (No. 127); the cell edges are 6.6175, 6.6175 and 5.8933 Å and the angles 90.00°, 90.00° and 90.00°. The distinct sites, in fractional coordinates, are Ba at (0.0000, 0.0000, 0.0000), Gd at (0.1734, 0.3266, 0.5000), Pd at (0.0000, 0.5000, 0.0000), O at (0.0000, 0.0000, 0.5000) and O at (0.1411, 0.6411, 0.2551).

The value obtained for the calculated formation energy is -26.1 eV per formula unit. For the final energy, the calculation gives -0.785 Ha/atom. The volume is 14.3 A^3/atom.